VASP calculation (PBE) on a relaxed structure of Na7ZnSi3Ge3P3O24.

Lattice parameters (Å, degrees): 8.7817 8.7859 21.7250 89.45 89.53 60.14
Closest atoms and distances in Å follow each position.
Space group P1 (No. 1)
Inequivalent atoms, fractional coordinates:
Na  0.0000  0.0000  0.0000 (multiplicity 1)  5 O 2.36-2.54
Na  0.0001  0.6381  0.2489 (multiplicity 1)  6 O 2.47-2.52
Na  0.0132  0.6320  0.7471 (multiplicity 1)  6 O 2.38-2.57
Na  0.0461  0.2946  0.1658 (multiplicity 1)  5 O 2.33-2.55
Na  0.2994  0.6840  0.1652 (multiplicity 1)  5 O 2.34-2.59
Na  0.3238  0.9775  0.5841 (multiplicity 1)  6 O 2.36-2.54
Na  0.3245  0.6001  0.8342 (multiplicity 1)  6 O 2.36-2.60
Na  0.3261  0.3418  0.3315 (multiplicity 1)  6 O 2.35-2.61
Na  0.3406  0.9637  0.0850 (multiplicity 1)  6 O 2.35-2.57
Na  0.3634  0.2778  0.9971 (multiplicity 1)  6 O 2.38-2.61
Na  0.3625  0.6375  0.4998 (multiplicity 1)  7 O 2.42-2.69
Na  0.6422  0.9990  0.4974 (multiplicity 1)  6 O 2.38-2.66
Na  0.6558  0.9374  0.1655 (multiplicity 1)  5 O 2.34-2.58
Na  0.6627  0.3157  0.9168 (multiplicity 1)  6 O 2.38-2.60
Na  0.6678  0.6706  0.6637 (multiplicity 1)  5 O 2.31-2.57
Na  0.6707  0.3036  0.4160 (multiplicity 1)  6 O 2.42-2.56
Na  0.7075  0.6063  0.3332 (multiplicity 1)  6 O 2.38-2.63
Na  0.7094  0.9643  0.8343 (multiplicity 1)  5 O 2.33-2.57
Na  0.9666  0.3489  0.8325 (multiplicity 1)  5 O 2.31-2.55
Na  0.9703  0.9629  0.3332 (multiplicity 1)  5 O 2.36-2.57
Na  0.9965  0.2788  0.4972 (multiplicity 1)  7 O 2.43-2.67
Zn  0.0117  0.6296  0.8997 (multiplicity 1)  4 O 1.95-2.13
Zn  0.3328  0.9716  0.2253 (multiplicity 1)  6 O 2.03-2.07
Zn  0.9960  0.6432  0.4035 (multiplicity 1)  5 O 1.95-2.17
Si  0.3013  0.6365  0.9971 (multiplicity 1)  4 O 1.60-1.67
Si  0.3386  0.2528  0.8285 (multiplicity 1)  4 O 1.61-1.69
Si  0.3713  0.5956  0.6648 (multiplicity 1)  4 O 1.63-1.66
Si  0.3790  0.3094  0.1627 (multiplicity 1)  4 O 1.60-1.67
Si  0.6731  0.5897  0.1627 (multiplicity 1)  4 O 1.59-1.68
Si  0.7091  0.6371  0.4988 (multiplicity 1)  4 O 1.60-1.67
Si  0.9485  0.0183  0.1620 (multiplicity 1)  4 O 1.60-1.67
Si  0.9600  0.3027  0.6652 (multiplicity 1)  4 O 1.63-1.66
Si  0.9970  0.9329  0.4986 (multiplicity 1)  4 O 1.60-1.68
Ge  0.0035  0.6420  0.1017 (multiplicity 1)  6 O 1.89-2.03
Ge  0.0061  0.6371  0.6021 (multiplicity 1)  6 O 1.87-2.06
Ge  0.3237  0.9776  0.7247 (multiplicity 1)  5 O 1.81-1.99
Ge  0.3344  0.9657  0.4342 (multiplicity 1)  6 O 1.90-2.05
Ge  0.3421  0.9651  0.9342 (multiplicity 1)  5 O 1.86-2.00
Ge  0.6583  0.3089  0.7635 (multiplicity 1)  4 O 1.81-1.92
Ge  0.6624  0.3147  0.0637 (multiplicity 1)  4 O 1.78-1.87
Ge  0.6671  0.3052  0.2617 (multiplicity 1)  3 O 1.83-1.84
Ge  0.6745  0.3078  0.5656 (multiplicity 1)  5 O 1.82-1.94
P  0.0421  0.2605  0.3301 (multiplicity 1)  4 O 1.50-1.60
P  0.0463  0.9766  0.8298 (multiplicity 1)  4 O 1.53-1.57
P  0.2946  0.3449  0.4986 (multiplicity 1)  4 O 1.52-1.57
P  0.3377  0.6767  0.3301 (multiplicity 1)  4 O 1.50-1.59
P  0.6158  0.6854  0.8288 (multiplicity 1)  4 O 1.53-1.57
P  0.6221  0.9757  0.3298 (multiplicity 1)  4 O 1.50-1.60
P  0.6681  0.0179  0.6649 (multiplicity 1)  4 O 1.54-1.56
P  0.7086  0.9273  0.9974 (multiplicity 1)  4 O 1.52-1.57
P  0.9958  0.3481  0.9977 (multiplicity 1)  4 O 1.51-1.59
O  0.0195  0.4447  0.3361 (multiplicity 1)  1 P 1.54
O  0.0198  0.8175  0.8341 (multiplicity 1)  1 P 1.53
O  0.0358  0.4305  0.0543 (multiplicity 1)  1 P 1.56
O  0.0469  0.7929  0.5556 (multiplicity 1)  1 Si 1.64
O  0.1251  0.0128  0.8886 (multiplicity 1)  1 P 1.57
O  0.1272  0.1416  0.3899 (multiplicity 1)  1 P 1.60
O  0.1405  0.9949  0.1653 (multiplicity 1)  1 Si 1.60
O  0.1517  0.1813  0.2736 (multiplicity 1)  1 P 1.50
O  0.1530  0.1280  0.6707 (multiplicity 1)  1 Si 1.63
O  0.1650  0.6823  0.0568 (multiplicity 1)  1 Si 1.67
O  0.1674  0.4276  0.5536 (multiplicity 1)  1 P 1.55
O  0.1682  0.1606  0.9935 (multiplicity 1)  1 P 1.59
O  0.1683  0.4455  0.8312 (multiplicity 1)  1 Si 1.61
O  0.1701  0.9356  0.7740 (multiplicity 1)  1 P 1.54
O  0.1754  0.9548  0.4917 (multiplicity 1)  1 Si 1.68
O  0.1782  0.6500  0.3374 (multiplicity 1)  1 P 1.54
O  0.1787  0.6135  0.6574 (multiplicity 1)  1 Si 1.63
O  0.1845  0.4892  0.1568 (multiplicity 1)  1 Si 1.66
O  0.2308  0.4521  0.4395 (multiplicity 1)  1 P 1.52
O  0.2310  0.5903  0.9364 (multiplicity 1)  1 Si 1.60
O  0.3043  0.7887  0.2739 (multiplicity 1)  1 P 1.50
O  0.3050  0.1547  0.7716 (multiplicity 1)  1 Si 1.62, 1 Ge 1.81
O  0.3075  0.8230  0.9905 (multiplicity 1)  1 Si 1.67, 1 Ge 1.87
O  0.3126  0.1582  0.4926 (multiplicity 1)  1 P 1.57
O  0.3554  0.1409  0.1664 (multiplicity 1)  1 Si 1.60
O  0.3661  0.7865  0.6720 (multiplicity 1)  1 Si 1.66
O  0.3732  0.7595  0.3895 (multiplicity 1)  1 P 1.59
O  0.3789  0.1288  0.8919 (multiplicity 1)  1 Si 1.67, 1 Ge 1.86
O  0.4594  0.3542  0.2250 (multiplicity 1)  1 Si 1.67, 1 Ge 1.84
O  0.4588  0.4751  0.7267 (multiplicity 1)  1 Si 1.64, 1 Ge 1.81
O  0.4809  0.3202  0.5085 (multiplicity 1)  1 P 1.56
O  0.4938  0.4578  0.0057 (multiplicity 1)  1 Si 1.65
O  0.4956  0.7660  0.8864 (multiplicity 1)  1 P 1.56
O  0.5029  0.0107  0.3897 (multiplicity 1)  1 P 1.60
O  0.5025  0.5075  0.6055 (multiplicity 1)  1 Si 1.64
O  0.5047  0.7806  0.1672 (multiplicity 1)  1 Si 1.59
O  0.5052  0.9926  0.6702 (multiplicity 1)  1 P 1.56
O  0.5058  0.2683  0.1030 (multiplicity 1)  1 Si 1.62
O  0.5119  0.4914  0.3278 (multiplicity 1)  1 P 1.59
O  0.5119  0.8174  0.4915 (multiplicity 1)  1 Si 1.67
O  0.5189  0.9521  0.9938 (multiplicity 1)  1 P 1.57
O  0.5228  0.2671  0.8240 (multiplicity 1)  1 Si 1.69
O  0.5327  0.8002  0.7708 (multiplicity 1)  1 P 1.55
O  0.5418  0.9457  0.2740 (multiplicity 1)  1 P 1.50
O  0.6313  0.5005  0.1058 (multiplicity 1)  1 Si 1.61, 1 Ge 1.78
O  0.6345  0.1500  0.3278 (multiplicity 1)  1 P 1.59
O  0.6336  0.4986  0.8258 (multiplicity 1)  1 P 1.57
O  0.6346  0.1340  0.6071 (multiplicity 1)  1 P 1.54
O  0.6788  0.4662  0.5070 (multiplicity 1)  1 Si 1.66
O  0.6884  0.1143  0.0036 (multiplicity 1)  1 P 1.57
O  0.7007  0.0987  0.7231 (multiplicity 1)  1 P 1.55
O  0.7184  0.4645  0.2261 (multiplicity 1)  1 Si 1.68, 1 Ge 1.83
O  0.7922  0.8126  0.0557 (multiplicity 1)  1 P 1.55
O  0.7961  0.6811  0.5582 (multiplicity 1)  1 Si 1.65
O  0.7977  0.6667  0.8337 (multiplicity 1)  1 P 1.53
O  0.8070  0.8153  0.3353 (multiplicity 1)  1 P 1.54
O  0.8175  0.8550  0.9392 (multiplicity 1)  1 P 1.52
O  0.8214  0.1291  0.5085 (multiplicity 1)  1 Si 1.66
O  0.8250  0.0990  0.2250 (multiplicity 1)  1 Si 1.67, 1 Ge 1.83
O  0.8245  0.5851  0.4372 (multiplicity 1)  1 Si 1.60
O  0.8274  0.3456  0.7254 (multiplicity 1)  1 Si 1.66, 1 Ge 1.86
O  0.8318  0.8321  0.6596 (multiplicity 1)  1 P 1.55
O  0.8378  0.3161  0.0050 (multiplicity 1)  1 P 1.55
O  0.8544  0.6021  0.1556 (multiplicity 1)  1 Si 1.65
O  0.8562  0.2722  0.3286 (multiplicity 1)  1 P 1.58
O  0.8597  0.1426  0.1020 (multiplicity 1)  1 Si 1.62
O  0.8624  0.1474  0.8241 (multiplicity 1)  1 P 1.57
O  0.8733  0.2697  0.6043 (multiplicity 1)  1 Si 1.63, 1 Ge 1.82
O  0.9510  0.8700  0.4361 (multiplicity 1)  1 Si 1.60
O  0.9614  0.8241  0.1577 (multiplicity 1)  1 Si 1.66
O  0.9627  0.4507  0.9384 (multiplicity 1)  1 P 1.51
O  0.9676  0.4865  0.6575 (multiplicity 1)  1 Si 1.66

Summary:
For the total energy after the MP2020 corrections, the calculation gives -6.78 eV/atom. Its magnetization is 0.0 μB per formula unit. Its energy relative to the elements is -2497 meV/atom.


VASP calculation (PBE) on a relaxed structure of Pr4NiI5.

Lattice parameters (Å, degrees): 4.2254 19.1348 9.1376 90.00 90.00 90.00
Closest atoms and distances in Å follow each position.
Space group Pmmn (No. 59, origin choice 2)
Inequivalent atoms, fractional coordinates:
Pr  0.2500  0.1032  0.1306 (multiplicity 4)  1 Ni 2.81
Pr  0.2500  0.7500  0.0815 (multiplicity 2)  2 Ni 2.84
Pr  0.2500  0.7500  0.6621 (multiplicity 2)  2 Ni 2.87
Ni  0.2500  0.2500  0.1259 (multiplicity 2)  6 Pr 2.81-2.87
I  0.2500  0.2500  0.6289 (multiplicity 2)  4 Pr 3.39-3.40
I  0.2500  0.5761  0.1401 (multiplicity 4)  4 Pr 3.29-3.43
I  0.2500  0.5797  0.6060 (multiplicity 4)  3 Pr 3.23-3.30

Summary:
For the total energy after the MP2020 corrections, the calculation gives -4.54 eV/atom. Its energy relative to the elements is -1283 meV/atom.